Record 1
Density functional theory data (GGA+U) for a geometry-optimized AgMoPO6 structure.

abc: 12.201 6.436 13.599
angles: 64.84 90.00 90.00
Fractional positions:
1 Ag 0.802 0.127 0.855
2 Ag 0.302 0.873 0.645
3 Ag 0.198 0.873 0.145
4 Ag 0.698 0.127 0.355
5 Ag 0.710 0.561 0.877
6 Ag 0.210 0.439 0.623
7 Ag 0.290 0.439 0.123
8 Ag 0.790 0.561 0.377
9 Mo 0.898 0.645 0.613
10 Mo 0.398 0.355 0.887
11 Mo 0.102 0.355 0.387
12 Mo 0.602 0.645 0.113
13 Mo 0.600 0.125 0.629
14 Mo 0.100 0.875 0.871
15 Mo 0.400 0.875 0.371
16 Mo 0.900 0.125 0.129
17 P 0.961 0.135 0.624
18 P 0.461 0.865 0.876
19 P 0.039 0.865 0.376
20 P 0.539 0.135 0.124
21 P 0.615 0.690 0.562
22 P 0.115 0.310 0.938
23 P 0.385 0.310 0.438
24 P 0.885 0.690 0.062
25 O 0.835 0.539 0.743
26 O 0.335 0.461 0.757
27 O 0.165 0.461 0.257
28 O 0.665 0.539 0.243
29 O 0.537 0.395 0.857
30 O 0.037 0.605 0.643
31 O 0.463 0.605 0.143
32 O 0.963 0.395 0.357
33 O 0.703 0.064 0.728
34 O 0.203 0.936 0.772
35 O 0.297 0.936 0.272
36 O 0.797 0.064 0.228
37 O 0.672 0.225 0.505
38 O 0.172 0.775 0.995
39 O 0.328 0.775 0.495
40 O 0.828 0.225 0.005
41 O 0.570 0.791 0.938
42 O 0.738 0.694 0.534
43 O 0.070 0.209 0.562
44 O 0.930 0.791 0.438
45 O 0.978 0.010 0.747
46 O 0.478 0.990 0.753
47 O 0.022 0.990 0.253
48 O 0.522 0.010 0.247
49 O 0.570 0.441 0.618
50 O 0.070 0.559 0.882
51 O 0.430 0.559 0.382
52 O 0.930 0.441 0.118
53 O 0.596 0.798 0.643
54 O 0.096 0.202 0.857
55 O 0.404 0.202 0.357
56 O 0.904 0.798 0.143
57 O 0.605 0.976 0.085
58 O 0.105 0.024 0.415
59 O 0.395 0.024 0.915
60 O 0.895 0.976 0.585
61 O 0.615 0.348 0.096
62 O 0.115 0.652 0.404
63 O 0.385 0.652 0.904
64 O 0.885 0.348 0.596
65 O 0.554 0.830 0.455
66 O 0.054 0.170 0.045
67 O 0.446 0.170 0.545
68 O 0.946 0.830 0.955
69 O 0.762 0.694 0.034
70 O 0.262 0.306 0.466
71 O 0.238 0.306 0.966
72 O 0.430 0.209 0.062

Results
Its symmetry is P2_1/c, No. 14. For the total energy, the calculation gives -6.59 eV/atom.


Record 2
Density functional theory data (GGA+U) for a geometry-optimized Mg2TiWO6 structure.

abc: 5.571 5.571 5.571
angles: 55.83 55.83 55.83
Fractional positions:
1 Mg 0.772 0.772 0.772
2 Mg 0.278 0.278 0.278
3 Ti 0.485 0.485 0.485
4 W 0.982 0.982 0.982
5 O 0.586 0.860 0.208
6 O 0.364 0.098 0.697
7 O 0.697 0.364 0.098
8 O 0.098 0.697 0.364
9 O 0.860 0.208 0.586
10 O 0.208 0.586 0.860

Results
The value obtained for the energy above the most stable polymorph in this dataset is 0.26 eV per formula unit. Its symmetry is R3, No. 146.


Record 3
Density functional theory data (GGA+U) for a geometry-optimized W18O49 structure.

abc: 3.859 14.199 18.287
angles: 70.29 90.00 90.00
Fractional positions:
1 W 0.500 0.287 0.549
2 W 0.500 0.746 0.260
3 W 0.500 0.025 0.723
4 W 0.500 0.125 0.415
5 W 0.500 0.713 0.451
6 W 0.500 0.192 0.082
7 W 0.500 0.628 0.128
8 W 0.500 0.254 0.740
9 W 0.500 0.975 0.277
10 W 0.500 0.655 0.780
11 W 0.500 0.372 0.872
12 W 0.500 0.500 0.643
13 W 0.500 0.345 0.220
14 W 0.500 0.808 0.918
15 W 0.500 0.500 0.357
16 W 0.500 0.917 0.083
17 W 0.500 0.083 0.917
18 W 0.500 0.875 0.585
19 O 0.000 0.034 0.723
20 O 0.500 0.074 0.031
21 O 0.500 0.362 0.629
22 O 0.000 0.285 0.551
23 O 0.000 0.650 0.779
24 O 0.000 0.125 0.412
25 O 0.500 0.589 0.696
26 O 0.000 0.628 0.132
27 O 0.500 0.207 0.477
28 O 0.500 0.793 0.523
29 O 0.500 0.227 0.310
30 O 0.500 0.086 0.188
31 O 0.500 0.585 0.541
32 O 0.500 0.029 0.354
33 O 0.500 0.773 0.690
34 O 0.500 0.411 0.304
35 O 0.500 0.488 0.149
36 O 0.500 0.290 0.141
37 O 0.000 0.190 0.079
38 O 0.000 0.875 0.588
39 O 0.000 0.509 0.356
40 O 0.500 0.512 0.851
41 O 0.500 0.611 0.246
42 O 0.000 0.491 0.644
43 O 0.500 0.971 0.646
44 O 0.000 0.810 0.921
45 O 0.000 0.966 0.277
46 O 0.000 0.715 0.449
47 O 0.500 0.176 0.659
48 O 0.500 0.415 0.459
49 O 0.500 0.308 0.978
50 O 0.500 0.710 0.859
51 O 0.500 0.926 0.969
52 O 0.500 0.692 0.022
53 O 0.000 0.372 0.868
54 O 0.000 0.253 0.739
55 O 0.000 0.919 0.084
56 O 0.500 0.389 0.754
57 O 0.000 0.081 0.916
58 O 0.500 0.895 0.200
59 O 0.500 0.234 0.860
60 O 0.500 0.638 0.371
61 O 0.500 0.000 0.500
62 O 0.500 0.824 0.341
63 O 0.000 0.350 0.221
64 O 0.000 0.747 0.261
65 O 0.500 0.105 0.800
66 O 0.500 0.766 0.140
67 O 0.500 0.914 0.812

Results
Its symmetry is P2/m, No. 10. For the total energy, the calculation gives -7.56 eV/atom.


Record 4
Density functional theory data (GGA+U) for a geometry-optimized LiCoPt3O6 structure.

abc: 3.034 6.415 6.750
angles: 95.51 90.00 90.00
Fractional positions:
1 Li 0.500 0.260 0.763
2 Co 0.000 0.476 0.459
3 Pt 0.000 0.000 0.019
4 Pt 0.500 0.516 0.037
5 Pt 0.500 0.973 0.500
6 O 0.000 0.048 0.717
7 O 0.000 0.920 0.301
8 O 0.000 0.689 0.945
9 O 0.000 0.324 0.110
10 O 0.500 0.289 0.488
11 O 0.500 0.660 0.505

Results
The value obtained for the energy above the most stable polymorph in this dataset is 0.14 eV per formula unit. Its symmetry is Pm, No. 6.


Record 5
Density functional theory data (GGA+U) for a geometry-optimized Li3V3B2O10 structure.

abc: 3.034 9.263 12.264
angles: 89.85 89.92 89.58
Fractional positions:
1 Li 0.001 0.024 0.995
2 Li 0.499 0.988 0.510
3 Li 0.500 0.233 0.099
4 Li 0.000 0.498 0.504
5 Li 0.500 0.490 0.001
6 Li 0.002 0.990 0.712
7 V 0.000 0.010 0.282
8 V 0.515 0.247 0.615
9 V 0.997 0.498 0.785
10 V 0.999 0.491 0.211
11 V 0.499 0.736 0.393
12 V 0.477 0.766 0.890
13 B 0.499 0.224 0.858
14 B 0.498 0.280 0.366
15 B 0.501 0.731 0.636
16 B 0.502 0.775 0.139
17 O 0.000 0.091 0.158
18 O 0.992 0.134 0.574
19 O 0.498 0.127 0.351
20 O 0.496 0.156 0.757
21 O 0.501 0.153 0.952
22 O 0.497 0.343 0.464
23 O 0.501 0.366 0.271
24 O 0.497 0.381 0.854
25 O 0.001 0.397 0.089
26 O 0.004 0.385 0.651
27 O 0.999 0.608 0.342
28 O 0.989 0.622 0.921
29 O 0.498 0.624 0.152
30 O 0.497 0.647 0.738
31 O 0.498 0.648 0.541
32 O 0.513 0.841 0.041
33 O 0.501 0.857 0.238
34 O 0.505 0.874 0.642
35 O 0.000 0.884 0.413
36 O 0.021 0.879 0.856

Results
The value obtained for the energy above the most stable polymorph in this dataset is 0.21 eV per formula unit. Its symmetry is P1, No. 1.


Record 6
Density functional theory data (GGA+U) for a geometry-optimized ScMn3Bi4O12 structure.

abc: 5.654 5.654 9.947
angles: 73.56 73.57 61.60
Fractional positions:
1 Sc 0.775 0.225 0.750
2 Mn 0.210 0.790 0.250
3 Mn 0.996 0.494 0.999
4 Mn 0.506 0.004 0.501
5 Bi 0.929 0.355 0.372
6 Bi 0.645 0.071 0.128
7 Bi 0.084 0.653 0.620
8 Bi 0.347 0.916 0.880
9 O 0.571 0.713 0.130
10 O 0.287 0.429 0.370
11 O 0.408 0.275 0.879
12 O 0.725 0.592 0.621
13 O 0.808 0.900 0.336
14 O 0.100 0.192 0.164
15 O 0.212 0.102 0.665
16 O 0.898 0.788 0.835
17 O 0.913 0.257 0.921
18 O 0.743 0.087 0.579
19 O 0.068 0.725 0.083
20 O 0.275 0.932 0.417

Results
Its symmetry is C2, No. 5. For the total energy, the calculation gives -6.82 eV/atom.


Number 1: theoretical density 4.5 g cm⁻³. Number 2: theoretical density 5.7 g cm⁻³. Number 3: theoretical density 7.2 g cm⁻³. Number 4: theoretical density 9.5 g cm⁻³. Number 5: theoretical density 3.4 g cm⁻³. Number 6: theoretical density 7.8 g cm⁻³.